1.
Material: Ca7MgFeCo7O20
Method: DFT, GGA+U
State: relaxed

Cell lengths 10.6271, 11.0865, 16.8249 Å; angles 109.12, 108.83, 90.10 degrees
Sites, in units of the cell vectors:
Ca1 0.3072 0.0663 0.6061
Ca2 0.2994 0.5682 0.6068
Ca3 0.8058 0.0628 0.6073
Ca4 0.8079 0.5630 0.1101
Ca5 0.8019 0.5647 0.6074
Ca6 0.1905 0.4302 0.3884
Ca7 0.2019 0.4369 0.8982
Ca8 0.1967 0.9380 0.3856
Ca9 0.1938 0.9372 0.8951
Ca10 0.6978 0.4310 0.3902
Ca11 0.7009 0.4321 0.8945
Ca12 0.6966 0.9358 0.3898
Ca13 0.6938 0.9374 0.8931
Ca14 0.0538 0.2959 0.1119
Ca15 0.0519 0.2899 0.6051
Ca16 0.0502 0.7922 0.6079
Ca17 0.5583 0.2939 0.1113
Ca18 0.5555 0.2894 0.6062
Ca19 0.5538 0.7878 0.1106
Ca20 0.5543 0.7941 0.6076
Ca21 0.4458 0.1982 0.3842
Ca22 0.4509 0.2087 0.8938
Ca23 0.4438 0.7081 0.3852
Ca24 0.4409 0.7101 0.8920
Ca25 0.9468 0.2015 0.3872
Ca26 0.9441 0.2052 0.8906
Ca27 0.9435 0.7072 0.3890
Ca28 0.9465 0.7101 0.8950
Mg1 0.2875 0.0756 0.1161
Mg2 0.2810 0.5779 0.1191
Mg3 0.7833 0.0807 0.1148
Mg4 0.0298 0.7855 0.1159
Fe1 0.1036 0.5922 0.7517
Fe2 0.6092 0.5934 0.7515
Fe3 0.3572 0.4084 0.7513
Fe4 0.3566 0.9102 0.7509
Co1 0.0095 0.0034 0.0095
Co2 0.0051 0.9997 0.4983
Co3 0.0111 0.5041 0.0051
Co4 0.0033 0.5000 0.4994
Co5 0.5076 0.0025 0.0049
Co6 0.5043 0.9994 0.4975
Co7 0.5090 0.5003 0.0027
Co8 0.5033 0.4980 0.4971
Co9 0.2601 0.2549 0.0069
Co10 0.2550 0.2493 0.4991
Co11 0.2602 0.7513 0.0069
Co12 0.2541 0.7504 0.4984
Co13 0.7600 0.2502 0.0038
Co14 0.7535 0.2482 0.4978
Co15 0.7594 0.7535 0.0036
Co16 0.7518 0.7483 0.4964
Co17 0.0997 0.0871 0.2417
Co18 0.1088 0.0973 0.7519
Co19 0.1107 0.5987 0.2494
Co20 0.6016 0.0910 0.2450
Co21 0.6116 0.0952 0.7500
Co22 0.6025 0.5927 0.2446
Co23 0.3572 0.4013 0.2455
Co24 0.3468 0.8960 0.2388
Co25 0.8584 0.4012 0.2494
Co26 0.8602 0.4028 0.7521
Co27 0.8572 0.9084 0.2461
Co28 0.8588 0.9039 0.7516
O1 0.1247 0.1158 0.4856
O2 0.1261 0.1330 0.9892
O3 0.1191 0.6155 0.4816
O4 0.1278 0.6296 0.9900
O5 0.6231 0.1151 0.4836
O6 0.6257 0.1227 0.9880
O7 0.6170 0.6125 0.4831
O8 0.6290 0.6318 0.9885
O9 0.1552 0.4069 0.0322
O10 0.1350 0.3771 0.5125
O11 0.1449 0.9000 0.0237
O12 0.1361 0.8734 0.5100
O13 0.6406 0.3833 0.0157
O14 0.6343 0.3756 0.5135
O15 0.6447 0.8976 0.0244
O16 0.6308 0.8744 0.5082
O17 0.3737 0.1198 0.4829
O18 0.3778 0.1085 0.9894
O19 0.3660 0.6220 0.4813
O20 0.3760 0.6119 0.9827
O21 0.8732 0.1197 0.4836
O22 0.8786 0.1094 0.9944
O23 0.8695 0.6187 0.4836
O24 0.8784 0.6141 0.9886
O25 0.3882 0.3747 0.0161
O26 0.3822 0.3874 0.5069
O27 0.3864 0.8819 0.0221
O28 0.3850 0.8861 0.5115
O29 0.8940 0.3813 0.0174
O30 0.8822 0.3842 0.5122
O31 0.8988 0.8764 0.0281
O32 0.8836 0.8842 0.5102
O33 0.1114 0.1138 0.1438
O34 0.0879 0.1034 0.6427
O35 0.0962 0.6233 0.1443
O36 0.0884 0.6061 0.6413
O37 0.6079 0.1109 0.1438
O38 0.5899 0.1014 0.6408
O39 0.6016 0.6013 0.1395
O40 0.5871 0.6038 0.6388
O41 0.4435 0.3930 0.3549
O42 0.4524 0.3956 0.8622
O43 0.4330 0.8995 0.3512
O44 0.4518 0.8956 0.8625
O45 0.9426 0.3918 0.3578
O46 0.9512 0.3956 0.8616
O47 0.9456 0.9004 0.3553
O48 0.9474 0.8992 0.8630
O49 0.3435 0.2688 0.1425
O50 0.3434 0.2865 0.6412
O51 0.3483 0.7626 0.1412
O52 0.3387 0.7864 0.6392
O53 0.8390 0.2751 0.1431
O54 0.8392 0.2873 0.6437
O55 0.8519 0.7805 0.1444
O56 0.8355 0.7888 0.6416
O57 0.1833 0.2017 0.3531
O58 0.1970 0.2146 0.8620
O59 0.1960 0.7178 0.3567
O60 0.1974 0.7189 0.8623
O61 0.6817 0.2079 0.3551
O62 0.7028 0.2104 0.8598
O63 0.6843 0.7117 0.3536
O64 0.7045 0.7200 0.8630
O65 0.4114 0.0565 0.2318
O66 0.4275 0.0703 0.7508
O67 0.4129 0.5604 0.2342
O68 0.4253 0.5708 0.7511
O69 0.9111 0.0666 0.2330
O70 0.9258 0.0670 0.7510
O71 0.9307 0.5618 0.2492
O72 0.9220 0.5694 0.7519
O73 0.1780 0.4370 0.2492
O74 0.1750 0.4312 0.7517
O75 0.1582 0.9181 0.2317
O76 0.1753 0.9327 0.7518
O77 0.6772 0.4346 0.2500
O78 0.6755 0.4318 0.7518
O79 0.6755 0.9324 0.2476
O80 0.6755 0.9318 0.7510

Properties
DFT formation energy = -2154 meV per atom
Calculated total energy = -6.1918 eV/atom

2.
Material: MgMn5CrP6O24
Method: DFT, GGA+U
State: relaxed

Cell lengths 9.2705, 8.7210, 8.7743 Å; angles 59.44, 57.55, 58.29 degrees
Sites, in units of the cell vectors:
Mg1 0.6401 0.1403 0.1104
Mn1 0.0322 0.9837 0.9948
Mn2 0.0627 0.6487 0.6366
Mn3 0.4887 0.4952 0.5077
Mn4 0.4671 0.8501 0.8410
Mn5 0.8945 0.3724 0.3515
Cr1 0.2678 0.2313 0.2644
P1 0.2652 0.2379 0.5573
P2 0.2691 0.9378 0.2493
P3 0.2625 0.5373 0.9559
P4 0.7631 0.4656 0.0252
P5 0.7620 0.0439 0.7399
P6 0.7751 0.7448 0.4419
O1 0.1023 0.1241 0.2906
O2 0.0955 0.4822 0.1423
O3 0.1048 0.2644 0.5210
O4 0.2699 0.0717 0.7441
O5 0.4311 0.2016 0.3700
O6 0.2584 0.4096 0.5736
O7 0.2717 0.9204 0.0825
O8 0.2649 0.7513 0.4173
O9 0.5986 0.5972 0.9611
O10 0.2771 0.5460 0.7706
O11 0.8164 0.2620 0.0304
O12 0.5873 0.0054 0.8253
O13 0.4282 0.9819 0.2174
O14 0.2470 0.7250 0.9457
O15 0.7060 0.4620 0.2296
O16 0.4252 0.3587 0.0128
O17 0.7271 0.2455 0.5765
O18 0.8039 0.0572 0.8794
O19 0.7302 0.5921 0.4410
O20 0.5955 0.8363 0.5876
O21 0.8048 0.8990 0.2426
O22 0.9412 0.6544 0.4919
O23 0.9289 0.5314 0.8955
O24 0.9312 0.9021 0.6378

Properties
DFT formation energy = -2453 meV per atom
Calculated total energy = -7.3576 eV/atom
ΔE to the lowest computed polymorph = 70 meV per atom

3.
Material: BaCrO4
Method: DFT, GGA+U
State: relaxed

Cell lengths 5.6865, 7.4600, 9.2084 Å; angles 90.00, 90.00, 90.00 degrees
Sites, in units of the cell vectors:
Ba1 0.2500 0.3452 0.6835
Ba2 0.7500 0.6548 0.3165
Ba3 0.7500 0.8452 0.8165
Ba4 0.2500 0.1548 0.1835
Cr1 0.2500 0.6923 0.0564
Cr2 0.7500 0.3077 0.9436
Cr3 0.7500 0.1923 0.4436
Cr4 0.2500 0.8077 0.5564
O1 0.5110 0.1800 0.9195
O2 0.0110 0.8200 0.0805
O3 0.4890 0.6800 0.5805
O4 0.9890 0.3200 0.4195
O5 0.4890 0.8200 0.0805
O6 0.9890 0.1800 0.9195
O7 0.5110 0.3200 0.4195
O8 0.0110 0.6800 0.5805
O9 0.2500 0.8859 0.3884
O10 0.7500 0.1141 0.6116
O11 0.7500 0.3859 0.1116
O12 0.2500 0.6141 0.8884
O13 0.2500 0.9699 0.6794
O14 0.7500 0.0301 0.3206
O15 0.7500 0.4699 0.8206
O16 0.2500 0.5301 0.1794

Properties
DFT formation energy = -2461 meV per atom
Calculated total energy = -6.8975 eV/atom

4.
Material: Li4Co3Sn5O16
Method: DFT, GGA+U
State: relaxed

Cell lengths 6.1510, 10.6101, 9.8718 Å; angles 89.63, 89.57, 89.36 degrees
Sites, in units of the cell vectors:
Li1 0.5071 0.1670 0.8922
Li2 0.0099 0.6669 0.8913
Li3 0.9722 0.0119 0.9854
Li4 0.4702 0.5115 0.9866
Li5 0.9839 0.0028 0.4981
Li6 0.4832 0.5016 0.4988
Li7 0.5028 0.8343 0.4045
Li8 0.9985 0.3301 0.4052
Co1 0.2427 0.5846 0.2151
Co2 0.2549 0.4100 0.7178
Co3 0.5004 0.6685 0.7104
Co4 0.7459 0.0863 0.2156
Co5 0.7471 0.9104 0.7142
Co6 0.0001 0.1678 0.7105
Sn1 0.4975 0.3315 0.2158
Sn2 0.0033 0.8308 0.2127
Sn3 0.5040 0.1635 0.4956
Sn4 0.0085 0.6606 0.4960
Sn5 0.2561 0.0847 0.2146
Sn6 0.7521 0.5843 0.2146
Sn7 0.2585 0.9155 0.7141
Sn8 0.7578 0.4143 0.7143
Sn9 0.5089 0.8325 0.9839
Sn10 0.0116 0.3326 0.9859
O1 0.4997 0.3350 0.5980
O2 0.0039 0.8346 0.5954
O3 0.2696 0.2431 0.3446
O4 0.7772 0.7408 0.3440
O5 0.4957 0.1711 0.1000
O6 0.0136 0.6611 0.1062
O7 0.0027 0.9979 0.3130
O8 0.4828 0.5061 0.3111
O9 0.9976 0.0093 0.8011
O10 0.5005 0.4974 0.8066
O11 0.2317 0.0851 0.5962
O12 0.7454 0.5737 0.5857
O13 0.7194 0.2475 0.3465
O14 0.2295 0.7304 0.3348
O15 0.4953 0.0170 0.3452
O16 0.0146 0.5166 0.3326
O17 0.2441 0.9203 0.0934
O18 0.7402 0.4204 0.0947
O19 0.7482 0.0750 0.6030
O20 0.2453 0.5693 0.6029
O21 0.5023 0.9852 0.8439
O22 0.0001 0.4834 0.8453
O23 0.2780 0.7612 0.8480
O24 0.7907 0.2521 0.8418
O25 0.5055 0.8373 0.6035
O26 0.0041 0.3216 0.6103
O27 0.7582 0.9145 0.0965
O28 0.2544 0.4279 0.1022
O29 0.7388 0.7677 0.8386
O30 0.2367 0.2668 0.8389
O31 0.4922 0.6614 0.1014
O32 0.0054 0.1656 0.0973

Properties
DFT formation energy = -1946 meV per atom
Calculated total energy = -5.9554 eV/atom
ΔE to the lowest computed polymorph = 0 meV per atom

Q: Which of these has the highest DFT formation energy?
A: Li4Co3Sn5O16

Please write out number 2 again, unchanged.
Material: MgMn5CrP6O24
Method: DFT, GGA+U
State: relaxed

Cell lengths 9.2705, 8.7210, 8.7743 Å; angles 59.44, 57.55, 58.29 degrees
Sites, in units of the cell vectors:
Mg1 0.6401 0.1403 0.1104
Mn1 0.0322 0.9837 0.9948
Mn2 0.0627 0.6487 0.6366
Mn3 0.4887 0.4952 0.5077
Mn4 0.4671 0.8501 0.8410
Mn5 0.8945 0.3724 0.3515
Cr1 0.2678 0.2313 0.2644
P1 0.2652 0.2379 0.5573
P2 0.2691 0.9378 0.2493
P3 0.2625 0.5373 0.9559
P4 0.7631 0.4656 0.0252
P5 0.7620 0.0439 0.7399
P6 0.7751 0.7448 0.4419
O1 0.1023 0.1241 0.2906
O2 0.0955 0.4822 0.1423
O3 0.1048 0.2644 0.5210
O4 0.2699 0.0717 0.7441
O5 0.4311 0.2016 0.3700
O6 0.2584 0.4096 0.5736
O7 0.2717 0.9204 0.0825
O8 0.2649 0.7513 0.4173
O9 0.5986 0.5972 0.9611
O10 0.2771 0.5460 0.7706
O11 0.8164 0.2620 0.0304
O12 0.5873 0.0054 0.8253
O13 0.4282 0.9819 0.2174
O14 0.2470 0.7250 0.9457
O15 0.7060 0.4620 0.2296
O16 0.4252 0.3587 0.0128
O17 0.7271 0.2455 0.5765
O18 0.8039 0.0572 0.8794
O19 0.7302 0.5921 0.4410
O20 0.5955 0.8363 0.5876
O21 0.8048 0.8990 0.2426
O22 0.9412 0.6544 0.4919
O23 0.9289 0.5314 0.8955
O24 0.9312 0.9021 0.6378

Properties
DFT formation energy = -2453 meV per atom
Calculated total energy = -7.3576 eV/atom
ΔE to the lowest computed polymorph = 70 meV per atom

Q: Which of these has the lowest DFT formation energy?
A: BaCrO4